# 1
Sr16V8O31: relaxed, meta-GGA r2SCAN.

a b c (Å): 6.904 10.839 11.631
angles (deg): 117.63 103.21 89.93
Sites, in units of the cell vectors:
Sr (0.912, 0.738, 0.707)
V (0.130, 0.434, 0.633)
O (0.746, 0.120, 0.248)
Sr (0.405, 0.971, 0.196)
O (0.327, 0.409, 0.536)
Sr (0.163, 0.604, 0.955)
O (0.138, 0.356, 0.959)
O (0.500, 0.500, 0.000)
Sr (0.837, 0.396, 0.045)
Sr (0.156, 0.101, 0.949)
O (0.886, 0.483, 0.680)
Sr (0.660, 0.856, 0.450)
O (0.747, 0.871, 0.248)
O (0.005, 0.746, 0.503)
V (0.375, 0.312, 0.876)
O (0.136, 0.852, 0.955)
O (0.385, 0.228, 0.205)
O (0.995, 0.254, 0.497)
O (0.500, 0.000, 0.000)
O (0.116, 0.020, 0.294)
O (0.754, 0.623, 0.250)
O (0.616, 0.278, 0.795)
O (0.246, 0.377, 0.750)
O (0.114, 0.517, 0.320)
Sr (0.598, 0.532, 0.806)
Sr (0.098, 0.784, 0.305)
Sr (0.088, 0.262, 0.293)
O (0.615, 0.772, 0.795)
V (0.625, 0.688, 0.124)
Sr (0.595, 0.029, 0.804)
O (0.369, 0.897, 0.543)
V (0.872, 0.062, 0.373)
O (0.864, 0.148, 0.045)
O (0.254, 0.880, 0.752)
O (0.504, 0.252, 0.003)
O (0.496, 0.748, 0.997)
O (0.673, 0.591, 0.464)
O (0.000, 0.000, 0.500)
Sr (0.340, 0.144, 0.550)
O (0.242, 0.626, 0.741)
Sr (0.361, 0.662, 0.560)
Sr (0.844, 0.899, 0.051)
Sr (0.902, 0.216, 0.695)
V (0.625, 0.183, 0.124)
O (0.384, 0.722, 0.205)
O (0.862, 0.644, 0.041)
O (0.253, 0.129, 0.752)
Sr (0.402, 0.468, 0.194)
O (0.758, 0.374, 0.259)
V (0.375, 0.817, 0.876)
O (0.631, 0.103, 0.457)
Sr (0.639, 0.338, 0.440)
V (0.870, 0.566, 0.367)
V (0.128, 0.938, 0.627)
O (0.884, 0.980, 0.706)

Results
SG   P-1 (2)


# 2
LiIn2: relaxed, meta-GGA r2SCAN.

a b c (Å): 7.421 7.421 7.421
angles (deg): 60.00 60.00 60.00
Sites, in units of the cell vectors:
Li (0.125, 0.125, 0.125)
In (0.855, 0.855, 0.436)
In (0.395, 0.395, 0.814)
In (0.395, 0.395, 0.395)
Li (0.625, 0.125, 0.125)
In (0.855, 0.855, 0.855)
In (0.814, 0.395, 0.395)
In (0.436, 0.855, 0.855)
Li (0.125, 0.625, 0.125)
In (0.855, 0.436, 0.855)
Li (0.125, 0.125, 0.625)
In (0.395, 0.814, 0.395)

Results
SG   Fd-3m (227)


# 3
ZnF2: relaxed, meta-GGA r2SCAN.

a b c (Å): 4.681 5.143 5.656
angles (deg): 90.00 90.00 90.00
Sites, in units of the cell vectors:
F (0.769, 0.081, 0.889)
F (0.269, 0.419, 0.389)
Zn (0.000, 0.250, 0.163)
Zn (0.500, 0.250, 0.663)
F (0.269, 0.919, 0.611)
Zn (0.500, 0.750, 0.337)
F (0.731, 0.581, 0.611)
F (0.231, 0.419, 0.889)
F (0.231, 0.919, 0.111)
F (0.731, 0.081, 0.389)
F (0.769, 0.581, 0.111)
Zn (0.000, 0.750, 0.837)

Results
SG   Pbcn (60)


Number 1: E_form -69.3 kcal/mol of atoms. Number 2: E_form -1.6 kcal/mol of atoms. Number 3: E_form -59.0 kcal/mol of atoms.